PBE with a Hubbard U Fe5O3F7, optimized geometry; crystal system = monoclinic; energy above the most stable polymorph in this dataset = 8 meV per atom
1.0
-0.2041 0.3498 -4.7520
1.3427 -4.5716 -0.4237
-14.9567 -4.4223 0.3167
Fe O F
10 6 14
Direct
0.9611 0.9529 0.0000
0.0283 0.0185 0.2046
0.0206 0.9740 0.3991
0.0206 0.9740 0.6009
0.0283 0.0185 0.7954
0.4981 0.4895 0.0987
0.4834 0.5208 0.5000
0.4663 0.5114 0.2916
0.4663 0.5114 0.7084
0.4981 0.4895 0.9013
0.2005 0.8099 0.3036
0.1836 0.8089 0.5000
0.2005 0.8099 0.6964
0.3232 0.3198 0.1964
0.3232 0.3198 0.8036
0.6736 0.6596 0.0000
0.2072 0.7959 0.1015
0.2072 0.7959 0.8985
0.2891 0.2803 0.0000
0.3012 0.3005 0.3958
0.3012 0.3005 0.6042
0.7096 0.7080 0.1993
0.6971 0.6989 0.3940
0.6971 0.6989 0.6060
0.7096 0.7080 0.8007
0.8038 0.1961 0.1027
0.7979 0.1985 0.5000
0.7997 0.2171 0.3084
0.8038 0.1961 0.8973
0.7997 0.2171 0.6916

***

PBE with a Hubbard U Fe10O19F, optimized geometry; crystal system = triclinic; energy above the most stable polymorph in this dataset = 2 meV per atom
1.0
4.6124 0.0000 0.0000
0.0688 7.5233 0.0000
0.1190 3.3024 9.1052
Fe O F
10 19 1
Direct
0.4997 0.6995 0.9016
0.5047 0.9015 0.3017
0.5008 0.0991 0.7008
0.4799 0.2964 0.0931
0.5009 0.5010 0.4976
0.9930 0.4006 0.7962
0.0018 0.7986 0.6020
0.0153 0.1964 0.4091
0.0111 0.6094 0.2006
0.9950 0.9987 0.9983
0.1788 0.2364 0.9714
0.1980 0.0305 0.5839
0.1916 0.4407 0.3748
0.1863 0.6364 0.7760
0.1967 0.8473 0.1744
0.3102 0.9371 0.8786
0.3079 0.3383 0.6748
0.3065 0.5366 0.0769
0.3090 0.1419 0.2769
0.3113 0.7380 0.4761
0.6936 0.8602 0.7265
0.6923 0.2611 0.5215
0.6946 0.6615 0.3227
0.6908 0.0633 0.1236
0.6860 0.4612 0.9234
0.8087 0.5630 0.6224
0.8150 0.9594 0.4284
0.8044 0.1611 0.8220
0.8119 0.7631 0.0237
0.8042 0.3617 0.2207

***

PBE with a Hubbard U Fe6O5F7, optimized geometry; crystal system = triclinic; energy above the most stable polymorph in this dataset = 23 meV per atom
1.0
5.6662 0.0000 0.0000
1.6322 5.4671 0.0000
2.2905 1.6079 6.8604
Fe O F
6 5 7
Direct
0.3203 0.3007 0.1627
0.6378 0.6902 0.3322
0.3761 0.3215 0.6908
0.6708 0.6927 0.8211
0.0025 0.0013 0.5019
0.9923 0.9926 0.9947
0.3596 0.9776 0.3307
0.7687 0.7709 0.0352
0.2179 0.2197 0.9704
0.5759 0.5723 0.6260
0.6456 0.0289 0.6693
0.0438 0.6141 0.6749
0.1112 0.1064 0.7089
0.4271 0.4322 0.3671
0.8983 0.9004 0.2870
0.9628 0.3881 0.3227
0.3041 0.6835 0.0031
0.6851 0.3069 0.0012

***

PBE with a Hubbard U Fe5O2F8, optimized geometry; crystal system = monoclinic; energy above the most stable polymorph in this dataset = 16 meV per atom
1.0
4.8615 0.0000 0.0000
0.0000 7.9167 0.0000
0.0000 4.4921 9.7219
Fe O F
10 4 16
Direct
0.4739 0.8856 0.9053
0.5000 0.5000 0.5000
0.5261 0.1144 0.0947
0.4841 0.7059 0.6832
0.5159 0.2941 0.3168
0.0000 0.5000 0.0000
0.0159 0.7059 0.1832
0.0261 0.8856 0.4053
0.9739 0.1144 0.5947
0.9841 0.2941 0.8168
0.1746 0.7133 0.0247
0.3254 0.7133 0.5247
0.6746 0.2867 0.4753
0.8254 0.2867 0.9753
0.2175 0.5154 0.8138
0.1992 0.9172 0.2111
0.1983 0.1246 0.4181
0.1823 0.3118 0.6430
0.3017 0.1246 0.9181
0.3177 0.3118 0.1430
0.3008 0.9172 0.7111
0.2825 0.5154 0.3138
0.6983 0.8754 0.0819
0.6992 0.0828 0.2889
0.7175 0.4846 0.6862
0.6823 0.6882 0.8570
0.7825 0.4846 0.1862
0.8177 0.6882 0.3570
0.8008 0.0828 0.7889
0.8017 0.8754 0.5819

***

PBE with a Hubbard U Fe2OF3, optimized geometry; energy above the most stable polymorph in this dataset = 0 meV per atom; maximum piezoelectric response = 0.8 C/m²
1.0
4.8125 0.0764 -0.0063
0.0764 4.8125 0.0063
-0.0087 0.0087 6.2655
Fe O F
4 2 6
Direct
0.0280 0.9720 0.4985
0.4879 0.5120 0.7499
0.0279 0.9721 0.9983
0.4878 0.5122 0.2499
0.1886 0.8114 0.2520
0.1887 0.8113 0.7521
0.7999 0.2001 0.2506
0.8000 0.2000 0.7503
0.2871 0.2919 0.9995
0.2875 0.2916 0.4996
0.7081 0.7129 0.9995
0.7084 0.7125 0.4996

***

PBE with a Hubbard U Fe4O7F, optimized geometry; crystal system = monoclinic; energy above the most stable polymorph in this dataset = 11 meV per atom
1.0
3.0271 4.6085 0.0000
-3.0271 4.6085 0.0000
0.0000 0.1567 4.6131
Fe O F
4 7 1
Direct
0.9993 0.9993 0.4988
0.5068 0.5068 0.5128
0.5023 0.9891 0.9913
0.9891 0.5023 0.9913
0.6506 0.6506 0.8022
0.1576 0.1576 0.8143
0.1553 0.6517 0.6942
0.6517 0.1553 0.6942
0.8473 0.3468 0.3066
0.3468 0.8473 0.3066
0.8421 0.8421 0.1843
0.3513 0.3513 0.2033

***

PBE with a Hubbard U Fe2O3F, optimized geometry; crystal system = orthorhombic; energy above the most stable polymorph in this dataset = 10 meV per atom
1.0
3.1957 -3.4437 0.0000
3.1957 3.4437 0.0000
0.0000 0.0000 15.0325
Fe O F
10 15 5
Direct
0.9973 0.0027 0.6006
0.9973 0.0027 0.3994
0.9850 0.0150 0.1992
0.9833 0.0167 0.0000
0.9850 0.0150 0.8008
0.4633 0.5367 0.5000
0.5204 0.4796 0.0997
0.5260 0.4740 0.2999
0.5204 0.4796 0.9003
0.5260 0.4740 0.7001
0.8155 0.1845 0.3020
0.8098 0.1902 0.1000
0.8098 0.1902 0.9000
0.8155 0.1845 0.6980
0.3017 0.3118 0.6009
0.3017 0.3118 0.3991
0.3125 0.3020 0.1992
0.3082 0.3070 0.0000
0.3125 0.3020 0.8008
0.6882 0.6983 0.6009
0.6882 0.6983 0.3991
0.6980 0.6875 0.1992
0.6930 0.6918 0.0000
0.6980 0.6875 0.8008
0.1732 0.8268 0.5000
0.7955 0.2045 0.5000
0.1917 0.8083 0.0989
0.1956 0.8044 0.2969
0.1956 0.8044 0.7031
0.1917 0.8083 0.9011

***

PBE with a Hubbard U Fe6O5F7, optimized geometry; crystal system = triclinic; energy above the most stable polymorph in this dataset = 18 meV per atom
1.0
5.6874 0.0000 0.0000
1.6380 5.4537 0.0000
2.2330 1.6581 6.8104
Fe O F
6 5 7
Direct
0.3057 0.3223 0.1614
0.6790 0.6421 0.3323
0.3759 0.3301 0.6901
0.6679 0.6906 0.8267
0.9832 0.0286 0.4967
0.9884 0.0027 0.9928
0.7683 0.7729 0.0378
0.2143 0.2177 0.9589
0.5768 0.5734 0.6316
0.6499 0.0312 0.6656
0.9548 0.3586 0.3422
0.3609 0.9464 0.3458
0.0415 0.6426 0.6623
0.1095 0.0983 0.6958
0.4276 0.4279 0.3756
0.9025 0.8996 0.2956
0.3006 0.7047 0.9939
0.6932 0.3104 0.9950

***

Number 1: formation energy from the elements -2.22 eV per atom. Number 2: formation energy from the elements -1.35 eV per atom. Number 3: formation energy from the elements -2.09 eV per atom. Number 4: formation energy from the elements -2.32 eV per atom. Number 5: formation energy from the elements -2.32 eV per atom. Number 6: formation energy from the elements -1.45 eV per atom. Number 7: formation energy from the elements -1.66 eV per atom. Number 8: formation energy from the elements -2.09 eV per atom.